[1]
VASP calculation (PBE-GGA) on a geometry-optimized Ba3TiAl10O20 structure.

Values from the calculation:
Corrected total energy (MP2020 scheme)   -7.865 eV per atom
Crystal system   monoclinic
Total moment   0.000 μB/atom
Formation enthalpy at 0 K   -3451 meV per atom

Cell lengths 9.7703, 9.7703, 5.0280 Å; angles 75.61, 75.61, 72.07 degrees
Closest atoms and distances in Å follow each position.
Element x y z (fractional)
Ba1 0.2783 0.2783 0.7498  5 O 2.60-2.85
Al1 0.7133 0.9927 0.6593  4 O 1.76-1.82
Al2 0.4236 0.8497 0.8375  4 O 1.75-1.82
Al3 0.2867 0.0073 0.3407  4 O 1.76-1.82
O1 0.5525 0.3063 0.8866  2 Al 1.79-1.93, 1 Ti 1.99
Al4 0.0073 0.2867 0.3407  4 O 1.76-1.82
Ba2 0.0000 0.0000 0.0000  6 O 2.69-2.80
Al5 0.1503 0.5764 0.1625  4 O 1.75-1.82
Al6 0.3638 0.6362 0.5000  6 O 1.93-2.01
O2 0.0132 0.7100 0.0009  2 Al 1.76-1.77
O3 0.2900 0.9868 0.9991  2 Al 1.76-1.77
O4 0.1700 0.6581 0.4340  3 Al 1.82-1.94
O5 0.9868 0.2900 0.9991  2 Al 1.76-1.77
O6 0.6937 0.4475 0.1134  2 Al 1.79-1.93, 1 Ti 1.99
Al7 0.5764 0.1503 0.1625  4 O 1.75-1.82
O7 0.3063 0.5525 0.8866  2 Al 1.79-1.93, 1 Ti 1.99
O8 0.6581 0.1700 0.4340  3 Al 1.82-1.94
O9 0.3419 0.8300 0.5660  3 Al 1.82-1.94
O10 0.8932 0.8932 0.5330  2 Al 1.77
O11 0.8817 0.5960 0.6944  2 Al 1.75-1.76
O12 0.7100 0.0132 0.0009  2 Al 1.76-1.77
O13 0.5626 0.5626 0.6072  1 Ti 1.92, 2 Al 2.01
Ti1 0.5000 0.5000 0.0000  6 O 1.92-1.99
O14 0.1068 0.1068 0.4670  2 Al 1.77
O15 0.4475 0.6937 0.1134  2 Al 1.79-1.93, 1 Ti 1.99
O16 0.4040 0.1183 0.3056  2 Al 1.75-1.76
O17 0.5960 0.8817 0.6944  2 Al 1.75-1.76
O18 0.8300 0.3419 0.5660  3 Al 1.82-1.94
Al8 0.6362 0.3638 0.5000  6 O 1.93-2.01
Ba3 0.7217 0.7217 0.2502  5 O 2.60-2.85
O19 0.1183 0.4040 0.3056  2 Al 1.75-1.76
Al9 0.9927 0.7133 0.6593  4 O 1.76-1.82
O20 0.4374 0.4374 0.3928  1 Ti 1.92, 2 Al 2.01
Al10 0.8497 0.4236 0.8375  4 O 1.75-1.82

[2]
VASP calculation (PBE-GGA) on a geometry-optimized Ba2Ti2AlTlO7 structure.

Values from the calculation:
Corrected total energy (MP2020 scheme)   -7.384 eV per atom
Crystal system   triclinic
Total moment   0.101 μB/atom
Formation enthalpy at 0 K   -2740 meV per atom

Cell lengths 3.8408, 3.8476, 14.5841 Å; angles 93.19, 93.18, 87.70 degrees
Closest atoms and distances in Å follow each position.
Element x y z (fractional)
Ti1 0.0690 0.0756 0.3758  1 O 1.77
O1 0.9686 0.9643 0.7448  1 Ti 1.77
O2 0.1211 0.5925 0.4180  1 Al 1.87, 2 Ti 1.99-2.06
O3 0.8887 0.4095 0.5793  1 Al 1.87, 2 Ti 2.00-2.06
O4 0.5846 0.1249 0.4176  1 Al 1.85, 2 Ti 1.99-2.05
Ba1 0.5175 0.5234 0.1714  1 O 2.46
Tl1 0.9889 0.9910 0.9996  4 O 2.64-2.91
O5 0.4198 0.8786 0.5813  1 Al 1.86, 2 Ti 2.00-2.04
O6 0.5147 0.5155 0.0025  2 Ba 2.46-2.49, 3 Tl 2.64-2.67
Ti2 0.9333 0.9253 0.6234  1 O 1.77
Ba2 0.4662 0.4652 0.8315  1 O 2.49
Al1 0.4979 0.4972 0.5005  4 O 1.85-1.87
O7 0.0298 0.0372 0.2543  1 Ti 1.77

[3]
VASP calculation (PBE-GGA) on a geometry-optimized Ba2Ti2AlTlO7 structure.

Values from the calculation:
Corrected total energy (MP2020 scheme)   -7.302 eV per atom
Crystal system   orthorhombic
Total moment   0.131 μB/atom
Formation enthalpy at 0 K   -2658 meV per atom

Cell lengths 3.7235, 3.7235, 14.9584 Å; angles 90.00, 90.00, 90.03 degrees
Closest atoms and distances in Å follow each position.
Element x y z (fractional)
O1 0.4993 0.0012 0.4177  2 Ti 1.99-2.00, 1 Al 2.20
Ti1 0.0014 0.9986 0.3701  5 O 1.80-2.00
Ba1 0.5015 0.4985 0.1696  1 O 2.54
Ba2 0.5015 0.4985 0.8304  1 O 2.54
Ti2 0.0014 0.9986 0.6299  5 O 1.80-2.00
O2 0.4993 0.0012 0.5823  2 Ti 1.99-2.00, 1 Al 2.20
O3 0.0017 0.9983 0.2499  1 Ti 1.80
O4 0.9988 0.5007 0.5823  2 Ti 1.99-2.00, 1 Al 2.20
Al1 0.5107 0.4893 0.5000  8 O 2.20-2.27
O5 0.5014 0.4986 0.0000  2 Ba 2.54, 4 Tl 2.63
O6 0.9988 0.5007 0.4177  2 Ti 1.99-2.00, 1 Al 2.20
O7 0.0017 0.9983 0.7501  1 Ti 1.80
Tl1 0.0014 0.9986 0.0000  4 O 2.63

[4]
VASP calculation (PBE-GGA) on a geometry-optimized Ba6Tm2Al4O15 structure.

Values from the calculation:
Corrected total energy (MP2020 scheme)   -7.493 eV per atom
Crystal system   monoclinic
Total moment   0.000 μB/atom
Formation enthalpy at 0 K   -3431 meV per atom

Cell lengths 5.9293, 7.9143, 18.4393 Å; angles 88.44, 90.00, 90.00 degrees
Closest atoms and distances in Å follow each position.
Element x y z (fractional)
Ba1 0.2536 0.0290 0.9109  9 O 2.82-3.00
O1 0.0031 0.2382 0.5037  1 Al 1.81
Al1 0.2273 0.7791 0.7683  4 O 1.75-1.80
O2 0.0323 0.2674 0.1875  1 Al 1.78
O3 0.5486 0.7527 0.3334  1 Al 1.80
O4 0.5486 0.2473 0.1666  1 Al 1.80
Ba2 0.7569 0.5014 0.0809  2 O 2.53-2.81
O5 0.7572 0.0529 0.8957  1 Al 1.80
O6 0.2428 0.9471 0.1043  1 Al 1.80
Al2 0.7527 0.2472 0.9447  4 O 1.80-1.81
O7 0.7538 0.4611 0.9084  1 Al 1.80
O8 0.0031 0.7618 0.9963  1 Al 1.81
Ba3 0.7212 0.0000 0.7500  8 O 2.74-3.03
O9 0.7538 0.5389 0.5916  1 Al 1.80
Al3 0.7727 0.2209 0.2317  4 O 1.75-1.80
O10 0.9969 0.2382 0.0037  1 Al 1.81
O11 0.4514 0.7527 0.8334  1 Al 1.80
Ba4 0.2536 0.9710 0.5891  9 O 2.82-3.00
O12 0.2109 0.0000 0.7500  2 Al 1.77
O13 0.0323 0.7326 0.3125  1 Al 1.78
O14 0.2462 0.4611 0.4084  1 Al 1.80
Ba5 0.7464 0.9710 0.0891  9 O 2.82-3.00
Ba6 0.6724 0.5000 0.7500  8 O 2.81-2.97
O15 0.9969 0.7618 0.4963  1 Al 1.81
Al4 0.2473 0.2472 0.4447  4 O 1.80-1.81
Tm1 0.7438 0.2488 0.5898  6 O 2.21-2.40
O16 0.9677 0.7326 0.8125  1 Al 1.78
O17 0.9677 0.2674 0.6875  1 Al 1.78
O18 0.2462 0.5389 0.0916  1 Al 1.80
Tm2 0.7438 0.7512 0.9102  6 O 2.21-2.40
Tm3 0.2562 0.2488 0.0898  6 O 2.21-2.40
O19 0.4923 0.2371 0.5018  1 Al 1.80
Ba7 0.2431 0.4986 0.9191  2 O 2.53-2.81
O20 0.6868 0.6914 0.1867  1 Al 1.75
O21 0.7572 0.9471 0.6043  1 Al 1.80
O22 0.7891 0.0000 0.2500  2 Al 1.77
Al5 0.7727 0.7791 0.2683  4 O 1.75-1.80
Ba8 0.7569 0.4986 0.4191  2 O 2.53-2.81
Al6 0.2273 0.2209 0.7317  4 O 1.75-1.80
O23 0.5077 0.7629 0.4982  1 Al 1.80
Ba9 0.3276 0.5000 0.2500  8 O 2.81-2.97
Ba10 0.7464 0.0290 0.4109  9 O 2.82-3.00
Al7 0.2473 0.7528 0.0553  4 O 1.80-1.81
O24 0.6868 0.3086 0.3133  1 Al 1.75
O25 0.4923 0.7629 0.9982  1 Al 1.80
O26 0.4514 0.2473 0.6666  1 Al 1.80
O27 0.2428 0.0529 0.3957  1 Al 1.80
O28 0.5077 0.2371 0.0018  1 Al 1.80
Tm4 0.2562 0.7512 0.4102  6 O 2.21-2.40
Ba11 0.2788 0.0000 0.2500  8 O 2.74-3.03
O29 0.3132 0.3086 0.8133  1 Al 1.75
O30 0.3132 0.6914 0.6867  1 Al 1.75
Al8 0.7527 0.7528 0.5553  4 O 1.80-1.81
Ba12 0.2431 0.5014 0.5809  2 O 2.53-2.81

[5]
VASP calculation (PBE-GGA) on a geometry-optimized Ba5Tm2ZrAl2O13 structure.

Values from the calculation:
Corrected total energy (MP2020 scheme)   -7.806 eV per atom
Crystal system   hexagonal
Total moment   0.000 μB/atom
Formation enthalpy at 0 K   -3506 meV per atom

Cell lengths 6.0070, 6.0070, 25.0640 Å; angles 90.00, 90.00, 120.00 degrees
Closest atoms and distances in Å follow each position.
Element x y z (fractional)
Tm1 0.6667 0.3333 0.6038  6 O 2.21-2.24
Al1 0.6667 0.3333 0.3192  4 O 1.73-1.78
O1 0.4955 0.9909 0.6581  1 Al 1.78
O2 0.4955 0.5045 0.6581  1 Al 1.78
O3 0.9909 0.4955 0.1581  1 Al 1.78
Ba1 0.0000 0.0000 0.3616  9 O 2.77-3.04
O4 0.8368 0.1632 0.9490  1 Zr 2.13, 1 Tm 2.21
O5 0.1632 0.3264 0.0510  1 Zr 2.13, 1 Tm 2.21
O6 0.0091 0.5045 0.6581  1 Al 1.78
Zr1 0.0000 0.0000 0.0000  6 O 2.13
O7 0.9909 0.4955 0.3419  1 Al 1.78
Ba2 0.6667 0.3333 0.4574  9 O 2.94-3.01
O8 0.1632 0.3264 0.4490  1 Zr 2.13, 1 Tm 2.21
Ba3 0.6667 0.3333 0.7500  6 O 2.91
Al2 0.3333 0.6667 0.8192  4 O 1.73-1.78
Ba4 0.0000 0.0000 0.8616  9 O 2.77-3.04
O9 0.5045 0.0091 0.3419  1 Al 1.78
Tm2 0.6667 0.3333 0.8962  6 O 2.21-2.24
Tm3 0.3333 0.6667 0.1038  6 O 2.21-2.24
Ba5 0.3333 0.6667 0.2500  6 O 2.91
Ba6 0.3333 0.6667 0.5426  9 O 2.94-3.01
Ba7 0.6667 0.3333 0.0426  9 O 2.94-3.01
O10 0.6667 0.3333 0.2500  2 Al 1.73
Al3 0.3333 0.6667 0.6808  4 O 1.73-1.78
O11 0.3264 0.1632 0.9490  1 Zr 2.13, 1 Tm 2.21
O12 0.8368 0.6736 0.5510  1 Zr 2.13, 1 Tm 2.21
Ba8 0.3333 0.6667 0.9574  9 O 2.94-3.01
Zr2 0.0000 0.0000 0.5000  6 O 2.13
O13 0.5045 0.4955 0.1581  1 Al 1.78
O14 0.1632 0.8368 0.0510  1 Zr 2.13, 1 Tm 2.21
O15 0.8368 0.1632 0.5510  1 Zr 2.13, 1 Tm 2.21
Tm4 0.3333 0.6667 0.3962  6 O 2.21-2.24
O16 0.0091 0.5045 0.8419  1 Al 1.78
O17 0.5045 0.0091 0.1581  1 Al 1.78
O18 0.1632 0.8368 0.4490  1 Zr 2.13, 1 Tm 2.21
Ba9 0.0000 0.0000 0.1384  9 O 2.77-3.04
O19 0.4955 0.9909 0.8419  1 Al 1.78
Ba10 0.0000 0.0000 0.6384  9 O 2.77-3.04
O20 0.3264 0.1632 0.5510  1 Zr 2.13, 1 Tm 2.21
O21 0.8368 0.6736 0.9490  1 Zr 2.13, 1 Tm 2.21
O22 0.6736 0.8368 0.0510  1 Zr 2.13, 1 Tm 2.21
O23 0.3333 0.6667 0.7500  2 Al 1.73
O24 0.5045 0.4955 0.3419  1 Al 1.78
O25 0.6736 0.8368 0.4490  1 Zr 2.13, 1 Tm 2.21
O26 0.4955 0.5045 0.8419  1 Al 1.78
Al4 0.6667 0.3333 0.1808  4 O 1.73-1.78

> Which value of corrected total energy (MP2020 scheme) does entry 1 give?

-7.865 eV per atom

> Which of these has the lowest corrected total energy (MP2020 scheme)?

Ba3TiAl10O20

Please write out number 1 again, unchanged.
VASP calculation (PBE-GGA) on a geometry-optimized Ba3TiAl10O20 structure.

Values from the calculation:
Corrected total energy (MP2020 scheme)   -7.865 eV per atom
Crystal system   monoclinic
Total moment   0.000 μB/atom
Formation enthalpy at 0 K   -3451 meV per atom

Cell lengths 9.7703, 9.7703, 5.0280 Å; angles 75.61, 75.61, 72.07 degrees
Closest atoms and distances in Å follow each position.
Element x y z (fractional)
Ba1 0.2783 0.2783 0.7498  5 O 2.60-2.85
Al1 0.7133 0.9927 0.6593  4 O 1.76-1.82
Al2 0.4236 0.8497 0.8375  4 O 1.75-1.82
Al3 0.2867 0.0073 0.3407  4 O 1.76-1.82
O1 0.5525 0.3063 0.8866  2 Al 1.79-1.93, 1 Ti 1.99
Al4 0.0073 0.2867 0.3407  4 O 1.76-1.82
Ba2 0.0000 0.0000 0.0000  6 O 2.69-2.80
Al5 0.1503 0.5764 0.1625  4 O 1.75-1.82
Al6 0.3638 0.6362 0.5000  6 O 1.93-2.01
O2 0.0132 0.7100 0.0009  2 Al 1.76-1.77
O3 0.2900 0.9868 0.9991  2 Al 1.76-1.77
O4 0.1700 0.6581 0.4340  3 Al 1.82-1.94
O5 0.9868 0.2900 0.9991  2 Al 1.76-1.77
O6 0.6937 0.4475 0.1134  2 Al 1.79-1.93, 1 Ti 1.99
Al7 0.5764 0.1503 0.1625  4 O 1.75-1.82
O7 0.3063 0.5525 0.8866  2 Al 1.79-1.93, 1 Ti 1.99
O8 0.6581 0.1700 0.4340  3 Al 1.82-1.94
O9 0.3419 0.8300 0.5660  3 Al 1.82-1.94
O10 0.8932 0.8932 0.5330  2 Al 1.77
O11 0.8817 0.5960 0.6944  2 Al 1.75-1.76
O12 0.7100 0.0132 0.0009  2 Al 1.76-1.77
O13 0.5626 0.5626 0.6072  1 Ti 1.92, 2 Al 2.01
Ti1 0.5000 0.5000 0.0000  6 O 1.92-1.99
O14 0.1068 0.1068 0.4670  2 Al 1.77
O15 0.4475 0.6937 0.1134  2 Al 1.79-1.93, 1 Ti 1.99
O16 0.4040 0.1183 0.3056  2 Al 1.75-1.76
O17 0.5960 0.8817 0.6944  2 Al 1.75-1.76
O18 0.8300 0.3419 0.5660  3 Al 1.82-1.94
Al8 0.6362 0.3638 0.5000  6 O 1.93-2.01
Ba3 0.7217 0.7217 0.2502  5 O 2.60-2.85
O19 0.1183 0.4040 0.3056  2 Al 1.75-1.76
Al9 0.9927 0.7133 0.6593  4 O 1.76-1.82
O20 0.4374 0.4374 0.3928  1 Ti 1.92, 2 Al 2.01
Al10 0.8497 0.4236 0.8375  4 O 1.75-1.82

> Number 5 is which compound?

Ba5Tm2ZrAl2O13